No. 1
## Na3CeF7 (PBE-GGA)

Data for crystalline Na3CeF7 at its relaxed geometry.

a b c (Å): 5.603 5.603 6.599
angles (deg): 65.61 65.61 88.80
Fractional coordinates of all 11 atoms:
F 0.065 0.654 0.244
F 0.834 0.834 0.854
F 0.367 0.894 0.749
Na 0.762 0.223 0.514
F 0.654 0.065 0.244
F 0.388 0.388 0.709
F 0.145 0.145 0.231
Na 0.502 0.502 0.967
Ce 0.042 0.042 0.976
F 0.894 0.367 0.749
Na 0.223 0.762 0.514

No. 2
## Na2CeF6 (PBE-GGA)

Data for crystalline Na2CeF6 at its relaxed geometry.

a b c (Å): 6.036 6.036 3.788
angles (deg): 90.00 90.00 120.00
Fractional coordinates of all 9 atoms:
F 0.000 0.633 0.000
F 0.633 0.000 0.000
Na 0.333 0.667 0.397
Na 0.667 0.333 0.603
F 0.367 0.367 0.000
F 0.252 0.000 0.500
F 0.000 0.252 0.500
F 0.748 0.748 0.500
Ce 0.000 0.000 0.000

No. 3
## Rb2NaCeF6 (PBE-GGA)

Data for crystalline Rb2NaCeF6 at its relaxed geometry.

a b c (Å): 6.521 6.521 6.521
angles (deg): 60.00 60.00 60.00
Fractional coordinates of all 10 atoms:
F 0.249 0.751 0.751
Rb 0.750 0.750 0.750
F 0.751 0.249 0.249
Rb 0.250 0.250 0.250
Ce 0.000 0.000 0.000
F 0.751 0.249 0.751
Na 0.500 0.500 0.500
F 0.249 0.751 0.249
F 0.249 0.249 0.751
F 0.751 0.751 0.249

No. 4
## RbCeF4 (PBE-GGA)

Data for crystalline RbCeF4 at its relaxed geometry.

a b c (Å): 3.796 6.541 16.391
angles (deg): 90.00 90.00 90.00
Fractional coordinates of all 24 atoms:
Ce 0.750 0.249 0.559
F 0.750 0.000 0.056
Rb 0.750 0.775 0.200
F 0.750 0.367 0.966
F 0.250 0.500 0.556
F 0.750 0.867 0.534
F 0.750 0.390 0.132
F 0.750 0.903 0.813
F 0.750 0.890 0.368
F 0.250 0.133 0.466
F 0.250 0.633 0.034
Ce 0.250 0.751 0.441
F 0.250 0.110 0.632
F 0.250 0.597 0.313
Ce 0.250 0.251 0.059
F 0.250 0.610 0.868
Rb 0.250 0.225 0.800
Rb 0.750 0.275 0.300
Ce 0.750 0.749 0.941
F 0.750 0.403 0.687
F 0.750 0.500 0.444
F 0.250 0.000 0.944
F 0.250 0.097 0.187
Rb 0.250 0.725 0.700

No. 5
## Ce2SeF4 (PBE-GGA)

Data for crystalline Ce2SeF4 at its relaxed geometry.

a b c (Å): 8.068 8.068 8.068
angles (deg): 29.87 29.87 29.87
Fractional coordinates of all 7 atoms:
F 0.431 0.431 0.431
Se 0.000 0.000 0.000
F 0.569 0.569 0.569
F 0.860 0.860 0.860
F 0.140 0.140 0.140
Ce 0.756 0.756 0.756
Ce 0.244 0.244 0.244

No. 6
## CeZrF7 (PBE-GGA)

Data for crystalline CeZrF7 at its relaxed geometry.

a b c (Å): 5.911 6.364 8.564
angles (deg): 77.64 90.00 90.00
Fractional coordinates of all 18 atoms:
F 0.474 0.440 0.731
F 0.924 0.948 0.024
F 0.037 0.942 0.713
F 0.537 0.058 0.287
F 0.032 0.119 0.283
F 0.000 0.462 0.741
Zr 0.752 0.311 0.276
F 0.252 0.643 0.967
Ce 0.241 0.842 0.187
F 0.532 0.881 0.717
Zr 0.252 0.689 0.724
F 0.974 0.560 0.269
F 0.747 0.257 0.519
F 0.247 0.743 0.481
F 0.500 0.538 0.259
F 0.752 0.357 0.033
F 0.424 0.052 0.976
Ce 0.741 0.158 0.813

Formation energy from the elements, respectively: -3501.0, -3613.0, -3499.4, -3887.0, -3741.8, -4176.6 meV per atom.
Raw total energy, respectively: -0.3914, -0.4068, -0.3890, -0.4416, -0.4973, -0.5083 Ry per atom.